Material: LaNdCuO4
Method: DFT, PBE
State: relaxed Values from VASP.

Geometry as Quantum ESPRESSO input:
```
&SYSTEM
  ibrav = 0, nat = 7, ntyp = 4
/
ATOMIC_SPECIES
La 138.91 La.upf
Nd 144.24 Nd.upf
Cu 63.55 Cu.upf
O 16.00 O.upf
CELL_PARAMETERS angstrom
3.788 -1.889 5.640
5.103 2.987 3.843
-6.294 0.542 -3.136
ATOMIC_POSITIONS crystal
La 0.360 0.360 0.000
Nd 0.636 0.636 0.000
Cu 0.000 0.000 0.000
O 0.814 0.814 0.000
O 0.184 0.184 0.000
O 0.003 0.503 0.500
O 0.503 0.003 0.500
```

Values from the calculation:
**Calculated total energy**: -51.30 eV/cell
**Spin magnetization**: 0.02 Bohr magnetons per cell
**Energy of formation from the pure elements**: -2.92 eV/atom
**Energy relative to the lowest polymorph listed for this composition**: 8.2 kJ/mol of atoms
**Space group**: No. 107

Material: LaNdCuO4
Method: DFT, PBE
State: relaxed Values from VASP.

Geometry as Quantum ESPRESSO input:
```
&SYSTEM
  ibrav = 0, nat = 14, ntyp = 4
/
ATOMIC_SPECIES
La 138.91 La.upf
Nd 144.24 Nd.upf
Cu 63.55 Cu.upf
O 16.00 O.upf
CELL_PARAMETERS angstrom
2.671 6.496 0.000
-2.671 6.496 0.000
0.000 0.025 5.422
ATOMIC_POSITIONS crystal
La 0.140 0.140 0.510
La 0.860 0.860 0.490
Nd 0.363 0.363 0.014
Nd 0.637 0.637 0.986
Cu 0.000 0.000 0.000
Cu 0.500 0.500 0.500
O 0.244 0.739 0.754
O 0.261 0.756 0.246
O 0.756 0.261 0.246
O 0.739 0.244 0.754
O 0.186 0.186 0.962
O 0.814 0.814 0.038
O 0.315 0.315 0.457
O 0.685 0.685 0.543
```

Values from the calculation:
**Calculated total energy**: -102.74 eV/cell
**Spin magnetization**: 0.00 Bohr magnetons per cell
**Energy of formation from the pure elements**: -2.93 eV/atom
**Energy relative to the lowest polymorph listed for this composition**: 7.2 kJ/mol of atoms
**Space group**: No. 12

Material: LaCu2Ni3
Method: DFT, PBE
State: relaxed Values from VASP.

Geometry as Quantum ESPRESSO input:
```
&SYSTEM
  ibrav = 0, nat = 6, ntyp = 3
/
ATOMIC_SPECIES
La 138.91 La.upf
Cu 63.55 Cu.upf
Ni 58.69 Ni.upf
CELL_PARAMETERS angstrom
-4.838 -0.210 1.560
1.885 -3.693 -2.948
1.127 -2.000 3.226
ATOMIC_POSITIONS crystal
La 0.000 0.000 0.000
Cu 0.667 0.333 0.000
Cu 0.333 0.667 0.000
Ni 0.500 0.500 0.500
Ni 0.500 0.000 0.500
Ni 0.000 0.500 0.500
```

Values from the calculation:
**Calculated total energy**: -32.04 eV/cell
**Energy of formation from the pure elements**: -0.26 eV/atom
**Space group**: No. 191

Material: LaCu3Ni2
Method: DFT, PBE
State: relaxed Values from VASP.

Geometry as Quantum ESPRESSO input:
```
&SYSTEM
  ibrav = 0, nat = 6, ntyp = 3
/
ATOMIC_SPECIES
La 138.91 La.upf
Cu 63.55 Cu.upf
Ni 58.69 Ni.upf
CELL_PARAMETERS angstrom
2.507 -4.343 0.000
2.507 4.343 0.000
0.000 0.000 4.103
ATOMIC_POSITIONS crystal
La 0.000 0.000 0.000
Cu 0.500 0.500 0.500
Cu 0.500 0.000 0.500
Cu 0.000 0.500 0.500
Ni 0.667 0.333 0.000
Ni 0.333 0.667 0.000
```

Values from the calculation:
**Calculated total energy**: -30.20 eV/cell
**Energy of formation from the pure elements**: -0.23 eV/atom
**Space group**: No. 191

What is the formula in the second record?
LaNdCuO4